1.
DFT (PBE+U) results for an optimized crystal structure of Li2Mn3NiO8.

## Properties
The value obtained for the formation energy is -1.88 eV per atom. The value obtained for the theoretical density is 4.2 g/cm3. The calculation puts the total energy after the MP2020 corrections at -7.35 eV per atom. Its space group is C2/m (12). As for the energy above the lowest structure with this stoichiometry: 72.4 meV per atom. The volume is 10.30 A^3/atom.

```
data_Li2Mn3NiO8
_cell_length_a 5.814
_cell_length_b 5.814
_cell_length_c 5.930
_cell_angle_alpha 118.91
_cell_angle_beta 118.91
_cell_angle_gamma 60.17
_symmetry_space_group_name_H-M 'P 1'
_symmetry_Int_Tables_number 1
_symmetry_space_group_name_Hall 'P 1'
loop_
_atom_site_label
_atom_site_fract_x
_atom_site_fract_y
_atom_site_fract_z
Li1 0.000 0.000 0.000
Li2 0.500 0.500 0.000
Mn1 0.000 0.000 0.500
Mn2 0.000 0.500 0.500
Mn3 0.500 0.000 0.500
Ni1 0.500 0.500 0.500
O1 0.217 0.744 0.713
O2 0.236 0.236 0.706
O3 0.254 0.254 0.294
O4 0.256 0.783 0.287
O5 0.744 0.217 0.713
O6 0.746 0.746 0.706
O7 0.764 0.764 0.294
O8 0.783 0.256 0.287
```


2.
DFT (PBE+U) results for an optimized crystal structure of Li2MnNiO4.

## Properties
The value obtained for the formation energy is -1.86 eV per atom. The value obtained for the theoretical density is 4.5 g/cm3. The calculation puts the total energy after the MP2020 corrections at -6.68 eV per atom. Its space group is I-4m2 (119). As for the energy above the lowest structure with this stoichiometry: 44.4 meV per atom. The volume is 8.85 A^3/atom.

```
data_Li2MnNiO4
_cell_length_a 5.176
_cell_length_b 5.176
_cell_length_c 5.176
_cell_angle_alpha 133.91
_cell_angle_beta 133.91
_cell_angle_gamma 67.23
_symmetry_space_group_name_H-M 'P 1'
_symmetry_Int_Tables_number 1
_symmetry_space_group_name_Hall 'P 1'
loop_
_atom_site_label
_atom_site_fract_x
_atom_site_fract_y
_atom_site_fract_z
Li1 0.000 0.000 0.000
Li2 0.750 0.250 0.500
Mn1 0.250 0.750 0.500
Ni1 0.500 0.500 0.000
O1 0.026 0.526 0.500
O2 0.261 0.261 0.000
O3 0.474 0.974 0.500
O4 0.739 0.739 0.000
```


3.
DFT (PBE+U) results for an optimized crystal structure of Li8Mn15NiO32.

## Properties
The value obtained for the formation energy is -2.03 eV per atom. The value obtained for the theoretical density is 4.1 g/cm3. The calculation puts the total energy after the MP2020 corrections at -7.69 eV per atom. Its space group is R32 (155). The volume is 10.49 A^3/atom.

```
data_Li8Mn15NiO32
_cell_length_a 8.375
_cell_length_b 8.375
_cell_length_c 8.375
_cell_angle_alpha 90.21
_cell_angle_beta 90.21
_cell_angle_gamma 90.21
_symmetry_space_group_name_H-M 'P 1'
_symmetry_Int_Tables_number 1
_symmetry_space_group_name_Hall 'P 1'
loop_
_atom_site_label
_atom_site_fract_x
_atom_site_fract_y
_atom_site_fract_z
Li1 0.123 0.123 0.123
Li2 0.126 0.621 0.626
Li3 0.374 0.379 0.874
Li4 0.379 0.874 0.374
Li5 0.621 0.626 0.126
Li6 0.626 0.126 0.621
Li7 0.874 0.374 0.379
Li8 0.877 0.877 0.877
Mn1 0.000 0.257 0.743
Mn2 0.000 0.749 0.251
Mn3 0.004 0.996 0.500
Mn4 0.248 0.251 0.495
Mn5 0.251 0.000 0.749
Mn6 0.251 0.495 0.248
Mn7 0.257 0.743 0.000
Mn8 0.495 0.248 0.251
Mn9 0.500 0.004 0.996
Mn10 0.505 0.749 0.752
Mn11 0.743 0.000 0.257
Mn12 0.749 0.251 0.000
Mn13 0.749 0.752 0.505
Mn14 0.752 0.505 0.749
Mn15 0.996 0.500 0.004
Ni1 0.500 0.500 0.500
O1 0.004 0.731 0.017
O2 0.014 0.512 0.238
O3 0.016 0.227 0.498
O4 0.017 0.004 0.731
O5 0.227 0.498 0.016
O6 0.231 0.259 0.724
O7 0.238 0.014 0.512
O8 0.251 0.481 0.477
O9 0.259 0.724 0.231
O10 0.261 0.261 0.261
O11 0.269 0.996 0.983
O12 0.276 0.741 0.769
O13 0.477 0.251 0.481
O14 0.481 0.477 0.251
O15 0.488 0.986 0.762
O16 0.498 0.016 0.227
O17 0.502 0.773 0.984
O18 0.512 0.238 0.014
O19 0.519 0.749 0.523
O20 0.523 0.519 0.749
O21 0.724 0.231 0.259
O22 0.731 0.017 0.004
O23 0.739 0.739 0.739
O24 0.741 0.769 0.276
O25 0.749 0.523 0.519
O26 0.762 0.488 0.986
O27 0.769 0.276 0.741
O28 0.773 0.984 0.502
O29 0.983 0.269 0.996
O30 0.984 0.502 0.773
O31 0.986 0.762 0.488
O32 0.996 0.983 0.269
```


4.
DFT (PBE+U) results for an optimized crystal structure of LiMnNiO4.

## Properties
The value obtained for the formation energy is -1.71 eV per atom. The value obtained for the theoretical density is 4.4 g/cm3. The calculation puts the total energy after the MP2020 corrections at -6.94 eV per atom. Its space group is Imma (74). The volume is 9.99 A^3/atom.

```
data_LiMnNiO4
_cell_length_a 5.869
_cell_length_b 5.869
_cell_length_c 5.869
_cell_angle_alpha 121.46
_cell_angle_beta 121.31
_cell_angle_gamma 87.62
_symmetry_space_group_name_H-M 'P 1'
_symmetry_Int_Tables_number 1
_symmetry_space_group_name_Hall 'P 1'
loop_
_atom_site_label
_atom_site_fract_x
_atom_site_fract_y
_atom_site_fract_z
Li1 0.381 0.131 0.250
Li2 0.619 0.869 0.750
Mn1 0.000 0.500 0.500
Mn2 0.500 0.500 0.000
Ni1 0.000 0.000 0.500
Ni2 0.000 0.500 0.000
O1 0.200 0.729 0.471
O2 0.242 0.271 0.971
O3 0.248 0.276 0.527
O4 0.248 0.721 0.973
O5 0.752 0.279 0.027
O6 0.752 0.724 0.473
O7 0.758 0.729 0.029
O8 0.800 0.271 0.529
```


5.
DFT (PBE+U) results for an optimized crystal structure of Li2MnNiO4.

## Properties
The value obtained for the formation energy is -1.91 eV per atom. The value obtained for the theoretical density is 4.4 g/cm3. The calculation puts the total energy after the MP2020 corrections at -6.73 eV per atom. Its space group is Imma (74). As for the energy above the lowest structure with this stoichiometry: 0.0 meV per atom. The volume is 8.97 A^3/atom.

```
data_Li2MnNiO4
_cell_length_a 5.880
_cell_length_b 5.880
_cell_length_c 5.880
_cell_angle_alpha 120.67
_cell_angle_beta 119.55
_cell_angle_gamma 89.82
_symmetry_space_group_name_H-M 'P 1'
_symmetry_Int_Tables_number 1
_symmetry_space_group_name_Hall 'P 1'
loop_
_atom_site_label
_atom_site_fract_x
_atom_site_fract_y
_atom_site_fract_z
Li1 0.000 0.000 0.000
Li2 0.500 0.000 0.000
Li3 0.500 0.000 0.500
Li4 0.500 0.500 0.500
Mn1 0.000 0.000 0.500
Mn2 0.000 0.500 0.000
Ni1 0.000 0.500 0.500
Ni2 0.500 0.500 0.000
O1 0.223 0.249 0.974
O2 0.224 0.751 0.474
O3 0.232 0.237 0.505
O4 0.232 0.727 0.995
O5 0.768 0.273 0.005
O6 0.768 0.763 0.495
O7 0.776 0.249 0.526
O8 0.777 0.751 0.026
```


6.
DFT (PBE+U) results for an optimized crystal structure of Li2Mn3NiO8.

## Properties
The value obtained for the formation energy is -1.88 eV per atom. The value obtained for the theoretical density is 4.3 g/cm3. The calculation puts the total energy after the MP2020 corrections at -7.36 eV per atom. Its space group is P2_13 (198). As for the energy above the lowest structure with this stoichiometry: 66.5 meV per atom. The volume is 10.18 A^3/atom.

```
data_Li2Mn3NiO8
_cell_length_a 8.293
_cell_length_b 8.293
_cell_length_c 8.293
_cell_angle_alpha 90.00
_cell_angle_beta 90.00
_cell_angle_gamma 90.00
_symmetry_space_group_name_H-M 'P 1'
_symmetry_Int_Tables_number 1
_symmetry_space_group_name_Hall 'P 1'
loop_
_atom_site_label
_atom_site_fract_x
_atom_site_fract_y
_atom_site_fract_z
Li1 0.125 0.125 0.125
Li2 0.247 0.753 0.253
Li3 0.253 0.247 0.753
Li4 0.375 0.875 0.625
Li5 0.625 0.375 0.875
Li6 0.747 0.747 0.747
Li7 0.753 0.253 0.247
Li8 0.875 0.625 0.375
Mn1 0.124 0.625 0.628
Mn2 0.125 0.872 0.876
Mn3 0.128 0.376 0.375
Mn4 0.372 0.624 0.875
Mn5 0.375 0.128 0.376
Mn6 0.376 0.375 0.128
Mn7 0.624 0.875 0.372
Mn8 0.625 0.628 0.124
Mn9 0.628 0.124 0.625
Mn10 0.872 0.876 0.125
Mn11 0.875 0.372 0.624
Mn12 0.876 0.125 0.872
Ni1 0.002 0.998 0.498
Ni2 0.498 0.002 0.998
Ni3 0.502 0.502 0.502
Ni4 0.998 0.498 0.002
O1 0.102 0.107 0.873
O2 0.107 0.873 0.102
O3 0.114 0.386 0.614
O4 0.125 0.853 0.637
O5 0.127 0.602 0.393
O6 0.137 0.375 0.147
O7 0.140 0.640 0.860
O8 0.147 0.137 0.375
O9 0.353 0.863 0.875
O10 0.360 0.360 0.360
O11 0.363 0.625 0.647
O12 0.373 0.398 0.893
O13 0.375 0.147 0.137
O14 0.386 0.614 0.114
O15 0.393 0.127 0.602
O16 0.398 0.893 0.373
O17 0.602 0.393 0.127
O18 0.607 0.627 0.898
O19 0.614 0.114 0.386
O20 0.625 0.647 0.363
O21 0.627 0.898 0.607
O22 0.637 0.125 0.853
O23 0.640 0.860 0.140
O24 0.647 0.363 0.625
O25 0.853 0.637 0.125
O26 0.860 0.140 0.640
O27 0.863 0.875 0.353
O28 0.873 0.102 0.107
O29 0.875 0.353 0.863
O30 0.886 0.886 0.886
O31 0.893 0.373 0.398
O32 0.898 0.607 0.627
```


7.
DFT (PBE+U) results for an optimized crystal structure of Li3MnNi2O6.

## Properties
The value obtained for the formation energy is -1.77 eV per atom. The value obtained for the theoretical density is 4.5 g/cm3. The calculation puts the total energy after the MP2020 corrections at -6.45 eV per atom. As for the energy above the lowest structure with this stoichiometry: 0.0 meV per atom. The volume is 8.93 A^3/atom.

```
data_Li3MnNi2O6
_cell_length_a 2.890
_cell_length_b 12.917
_cell_length_c 5.894
_cell_angle_alpha 76.79
_cell_angle_beta 90.02
_cell_angle_gamma 90.00
_symmetry_space_group_name_H-M 'P 1'
_symmetry_Int_Tables_number 1
_symmetry_space_group_name_Hall 'P 1'
loop_
_atom_site_label
_atom_site_fract_x
_atom_site_fract_y
_atom_site_fract_z
Li1 0.000 0.667 0.167
Li2 0.500 0.167 0.167
Li3 0.000 0.998 0.495
Li4 0.500 0.498 0.495
Li5 0.000 0.335 0.839
Li6 0.500 0.835 0.839
Mn1 0.500 0.167 0.667
Mn2 0.000 0.667 0.667
Ni1 0.000 0.998 0.005
Ni2 0.000 0.335 0.329
Ni3 0.500 0.498 0.005
Ni4 0.500 0.835 0.329
O1 0.000 0.512 0.756
O2 0.500 0.012 0.755
O3 0.000 0.821 0.578
O4 0.500 0.321 0.578
O5 0.000 0.833 0.096
O6 0.500 0.333 0.096
O7 0.000 0.500 0.237
O8 0.500 0.000 0.238
O9 0.000 0.165 0.447
O10 0.500 0.665 0.447
O11 0.000 0.169 0.887
O12 0.500 0.669 0.887
```


8.
DFT (PBE+U) results for an optimized crystal structure of Li6Mn5Ni3O16.

## Properties
The value obtained for the formation energy is -1.86 eV per atom. The value obtained for the theoretical density is 4.5 g/cm3. The calculation puts the total energy after the MP2020 corrections at -6.99 eV per atom. Its space group is Cm (8). The volume is 9.19 A^3/atom.

```
data_Li6Mn5Ni3O16
_cell_length_a 5.822
_cell_length_b 5.822
_cell_length_c 9.439
_cell_angle_alpha 91.11
_cell_angle_beta 91.11
_cell_angle_gamma 59.59
_symmetry_space_group_name_H-M 'P 1'
_symmetry_Int_Tables_number 1
_symmetry_space_group_name_Hall 'P 1'
loop_
_atom_site_label
_atom_site_fract_x
_atom_site_fract_y
_atom_site_fract_z
Li1 0.000 0.000 0.000
Li2 0.330 0.817 0.512
Li3 0.339 0.339 0.510
Li4 0.500 0.991 0.999
Li5 0.817 0.330 0.512
Li6 0.991 0.500 0.999
Mn1 0.336 0.336 0.774
Mn2 0.501 0.996 0.274
Mn3 0.504 0.504 0.044
Mn4 0.835 0.835 0.549
Mn5 0.996 0.501 0.274
Ni1 0.332 0.829 0.772
Ni2 0.829 0.332 0.772
Ni3 0.996 0.996 0.272
O1 0.000 0.000 0.640
O2 0.009 0.500 0.653
O3 0.125 0.670 0.405
O4 0.173 0.173 0.380
O5 0.176 0.176 0.880
O6 0.199 0.637 0.911
O7 0.326 0.326 0.162
O8 0.336 0.840 0.152
O9 0.490 0.490 0.656
O10 0.500 0.009 0.653
O11 0.637 0.199 0.911
O12 0.643 0.643 0.915
O13 0.670 0.125 0.405
O14 0.679 0.679 0.398
O15 0.821 0.821 0.163
O16 0.840 0.336 0.152
```